The following is a DFT calculation (PBE) of a relaxed structure of Dy2Y2O5.

Computed properties:
- raw total energy (eV for the cell shown) = -72.72
- formation energy (eV per atom) = -3.252

Cell: 3.897 3.897 9.862 Å, 90.00 90.00 90.00°
Sites, in units of the cell vectors:
Dy  0.000  0.000  0.000
Dy  0.000  0.000  0.500
O  0.000  0.500  0.859
O  0.500  0.500  0.500
O  0.500  0.000  0.859
O  0.000  0.500  0.141
O  0.500  0.000  0.141
Y  0.500  0.500  0.764
Y  0.500  0.500  0.236

The following is a DFT calculation (PBE) of a relaxed structure of DyY3O6.

Computed properties:
- raw total energy (eV for the cell shown) = -357.50
- formation energy (eV per atom) = -3.980

Cell: 9.266 9.266 10.698 Å, 54.74 54.74 70.53°
Sites, in units of the cell vectors:
O  0.032  0.729  0.761
O  0.739  0.957  0.022
O  0.531  0.229  0.479
O  0.228  0.532  0.979
O  0.969  0.272  0.739
O  0.458  0.240  0.781
O  0.989  0.229  0.293
O  0.468  0.772  0.021
O  0.542  0.761  0.718
O  0.271  0.512  0.510
O  0.729  0.489  0.989
O  0.488  0.729  0.490
O  0.771  0.469  0.521
O  0.511  0.271  0.011
O  0.271  0.968  0.239
O  0.260  0.042  0.479
O  0.760  0.542  0.219
O  0.012  0.771  0.208
O  0.043  0.261  0.978
O  0.958  0.740  0.521
O  0.771  0.011  0.707
O  0.229  0.988  0.792
O  0.239  0.458  0.282
O  0.728  0.031  0.261
Y  0.717  0.217  0.783
Y  0.500  0.000  0.750
Y  0.500  0.000  0.250
Y  0.467  0.533  0.000
Y  0.000  0.500  0.750
Y  0.967  0.033  0.000
Y  0.750  0.750  0.967
Y  0.250  0.250  0.033
Y  0.750  0.750  0.467
Y  0.000  0.500  0.250
Y  0.783  0.283  0.217
Y  0.250  0.250  0.533
Dy  0.283  0.783  0.717
Dy  0.033  0.967  0.500
Dy  0.217  0.717  0.283
Dy  0.533  0.467  0.500

The following is a DFT calculation (PBE) of a relaxed structure of DyY7O12.

Computed properties:
- raw total energy (eV for the cell shown) = -361.01
- formation energy (eV per atom) = -3.975

Cell: 9.270 9.270 9.270 Å, 109.48 109.47 109.46°
Sites, in units of the cell vectors:
Y  0.000  0.500  0.000
Y  0.250  0.283  0.033
Y  0.250  0.783  0.533
Y  0.783  0.533  0.250
Y  0.533  0.750  0.283
Y  0.750  0.217  0.467
Y  0.500  0.500  0.500
Y  0.000  0.000  0.500
Y  0.750  0.717  0.967
Y  0.033  0.750  0.783
Y  0.500  0.000  0.000
Y  0.967  0.250  0.217
Y  0.467  0.250  0.717
Y  0.717  0.967  0.750
O  0.228  0.989  0.457
O  0.229  0.260  0.272
O  0.261  0.032  0.989
O  0.728  0.271  0.239
O  0.739  0.968  0.011
O  0.239  0.228  0.771
O  0.457  0.728  0.489
O  0.271  0.543  0.031
O  0.043  0.532  0.271
O  0.542  0.272  0.511
O  0.989  0.761  0.532
O  0.761  0.772  0.229
O  0.771  0.739  0.728
O  0.468  0.511  0.739
O  0.958  0.468  0.729
O  0.772  0.011  0.543
O  0.272  0.729  0.761
O  0.968  0.229  0.957
O  0.511  0.043  0.772
O  0.032  0.771  0.043
O  0.488  0.957  0.228
O  0.532  0.489  0.261
O  0.012  0.240  0.469
O  0.729  0.457  0.968
Dy  0.283  0.033  0.250
Dy  0.217  0.467  0.750

The following is a DFT calculation (PBE) of a relaxed structure of Dy2Zr2O7.

Computed properties:
- raw total energy (eV for the cell shown) = -195.01
- formation energy (eV per atom) = -3.761

Cell: 3.613 7.530 10.652 Å, 90.00 90.00 90.00°
Sites, in units of the cell vectors:
Dy  0.500  0.500  0.500
Dy  0.000  0.250  0.775
Dy  0.500  0.000  0.500
Dy  0.000  0.750  0.225
O  0.500  0.750  0.867
O  0.000  0.957  0.370
O  0.000  0.043  0.630
O  0.500  0.750  0.110
O  0.500  0.250  0.379
O  0.500  0.250  0.890
O  0.000  0.457  0.630
O  0.000  0.480  0.119
O  0.000  0.543  0.370
O  0.500  0.750  0.621
O  0.000  0.520  0.881
O  0.000  0.980  0.881
O  0.000  0.020  0.119
O  0.500  0.250  0.133
Zr  0.000  0.250  0.245
Zr  0.000  0.750  0.755
Zr  0.500  0.500  0.000
Zr  0.500  0.000  0.000

The following is a DFT calculation (PBE) of a relaxed structure of Dy2Zr2O7.

Computed properties:
- raw total energy (eV for the cell shown) = -392.84
- formation energy (eV per atom) = -3.825

Cell: 7.322 7.322 12.627 Å, 90.00 90.00 90.00°
Sites, in units of the cell vectors:
Dy  0.638  0.127  0.135
Dy  0.862  0.627  0.115
Dy  0.138  0.373  0.615
Dy  0.873  0.362  0.365
Dy  0.627  0.862  0.885
Dy  0.373  0.138  0.385
Dy  0.127  0.638  0.865
Dy  0.362  0.873  0.635
O  0.069  0.093  0.336
O  0.931  0.907  0.836
O  0.569  0.407  0.414
O  0.363  0.154  0.206
O  0.654  0.137  0.956
O  0.172  0.415  0.426
O  0.346  0.863  0.456
O  0.343  0.657  0.250
O  0.137  0.654  0.044
O  0.907  0.931  0.164
O  0.093  0.069  0.664
O  0.593  0.431  0.086
O  0.637  0.846  0.706
O  0.828  0.585  0.926
O  0.863  0.346  0.544
O  0.407  0.569  0.586
O  0.431  0.593  0.914
O  0.585  0.828  0.074
O  0.657  0.343  0.750
O  0.672  0.085  0.324
O  0.843  0.843  0.500
O  0.846  0.637  0.294
O  0.085  0.672  0.676
O  0.915  0.328  0.176
O  0.154  0.363  0.794
O  0.415  0.172  0.574
O  0.157  0.157  0.000
O  0.328  0.915  0.824
Zr  0.601  0.370  0.595
Zr  0.899  0.870  0.655
Zr  0.870  0.899  0.345
Zr  0.370  0.601  0.405
Zr  0.630  0.399  0.905
Zr  0.130  0.101  0.845
Zr  0.399  0.630  0.095
Zr  0.101  0.130  0.155

The following is a DFT calculation (PBE) of a relaxed structure of Dy2Zr2O7.

Computed properties:
- raw total energy (eV for the cell shown) = -394.58
- formation energy (eV per atom) = -3.864

Cell: 5.536 7.880 13.827 Å, 81.54 90.00 90.00°
Sites, in units of the cell vectors:
O  0.550  0.075  0.978
O  0.546  0.439  0.977
O  0.914  0.584  0.827
O  0.904  0.324  0.702
O  0.612  0.365  0.378
O  0.634  0.830  0.674
O  0.404  0.676  0.298
O  0.414  0.416  0.173
O  0.467  0.139  0.770
O  0.975  0.526  0.234
O  0.052  0.078  0.583
O  0.919  0.996  0.826
O  0.043  0.846  0.434
O  0.386  0.778  0.883
O  0.552  0.922  0.417
O  0.475  0.474  0.766
O  0.886  0.222  0.117
O  0.050  0.925  0.022
O  0.135  0.271  0.916
O  0.046  0.561  0.023
O  0.076  0.422  0.453
O  0.635  0.729  0.084
O  0.967  0.861  0.230
O  0.112  0.635  0.622
O  0.134  0.170  0.326
O  0.543  0.154  0.566
O  0.419  0.004  0.174
O  0.576  0.578  0.547
Dy  0.827  0.137  0.441
Dy  0.243  0.713  0.134
Dy  0.743  0.287  0.866
Dy  0.779  0.763  0.928
Dy  0.279  0.237  0.072
Dy  0.327  0.863  0.559
Dy  0.760  0.638  0.399
Dy  0.260  0.362  0.601
Zr  0.277  0.411  0.327
Zr  0.265  0.532  0.875
Zr  0.777  0.589  0.673
Zr  0.765  0.074  0.680
Zr  0.765  0.468  0.125
Zr  0.763  0.973  0.119
Zr  0.263  0.027  0.881
Zr  0.265  0.926  0.320